# 1
DFT (PBE) results for a relaxed NbTlO3 crystal.

Values from the calculation:
For the raw total energy, the calculation gives -300.17 eV per cell. Its space group is P1, No. 1.

```
40
Lattice="-3.5682 0.1159 -6.7703 3.8818 -1.6275 -6.3978 -2.8014 -12.5926 -3.0566" Properties=species:S:1:pos:R:3 pbc="T T T"
Nb -2.3699 -3.4731 -7.4701
Nb -2.6751 -13.3295 -9.6512
Nb 2.4772 -7.9144 -7.9224
Nb 3.8539 -1.6625 -6.4354
Nb -3.1708 -6.2047 -4.9351
Nb -0.0394 -10.6496 -8.8358
Nb -0.8447 -13.3827 -6.2949
Nb -1.2475 -7.0921 -8.1199
O -1.8709 -7.0516 -6.1886
O -3.5271 -1.8966 -6.8089
O -0.7451 -2.5732 -6.6981
O -1.7593 -6.0406 -3.4918
O -0.2833 -1.5388 -11.2269
O -4.0531 -4.3871 -8.1975
O 0.6844 -7.0568 -7.4939
O 1.0673 -12.1941 -9.3792
O -4.4078 -12.5008 -9.2317
O -1.7166 -11.5447 -9.5755
O -0.3934 -11.5874 -7.0238
O -2.1097 -2.4887 -9.1755
O 0.5242 -1.0355 -4.6174
O 0.2523 -9.6944 -10.5468
O -1.3045 -5.0298 -8.0705
O -2.9800 -13.1202 -11.6185
O -1.2090 -9.0730 -8.1610
O -3.1949 -7.0698 -8.6789
O 1.9715 -1.6130 -6.9723
O 1.5461 -9.7122 -8.0511
O -0.7497 -8.0902 -12.7082
O -0.6443 -7.0158 -10.0397
O -2.1785 -12.5243 -4.9841
O -2.7304 -4.4019 -5.6571
Tl 1.3500 -4.3578 -7.4763
Tl -3.8016 -9.8174 -8.6998
Tl -1.7810 -9.7960 -5.4618
Tl -0.6312 -4.3207 -10.7477
Tl 2.0451 -1.7604 -9.7909
Tl -3.0311 -7.2358 -11.4576
Tl -0.4605 -3.6425 -4.1574
Tl -1.7197 -10.7231 -12.2170
```



# 2
DFT (PBE) results for a relaxed Nb8Tl8O25 crystal.

Values from the calculation:
For the raw total energy, the calculation gives -304.84 eV per cell. The total magnetization is 2.00 μB per cell. Its space group is Cm, No. 8.

```
41
Lattice="3.8250 6.6223 0.0000 -3.8250 6.6223 0.0000 0.0000 4.4136 12.4761" Properties=species:S:1:pos:R:3 pbc="T T T"
O -2.3957 9.6543 12.0872
O 0.0000 4.9854 5.8677
O 1.4287 5.7973 8.1893
O -2.4043 8.0100 0.3733
O 0.0000 3.8544 0.3859
O 2.4043 8.0100 0.3733
O 0.0000 4.9741 10.5338
O -1.4171 10.2104 1.9359
O -1.4287 5.7973 8.1893
O 1.4171 10.2104 1.9359
O -1.4252 7.4448 10.5345
O 0.0000 9.4036 4.3049
O 0.0000 12.6895 1.9440
O 1.4215 7.4421 5.8569
O 0.0000 12.6733 6.6288
O 0.0000 13.7999 12.0869
O 0.0000 8.2699 8.1892
O 2.3957 9.6543 12.0872
O 1.4252 7.4448 10.5345
O 1.4288 11.8524 4.2969
O 0.0000 11.0359 10.1440
O -1.4288 11.8524 4.2969
O -1.4181 10.2185 6.6304
O 1.4181 10.2185 6.6304
O -1.4215 7.4421 5.8569
Tl 0.0000 6.6137 0.0336
Tl 0.0000 15.4464 6.3982
Tl 1.7893 7.6342 3.0548
Tl -1.9535 9.9086 9.3485
Tl 1.9535 9.9086 9.3485
Tl -1.7893 7.6342 3.0548
Tl 0.0000 4.2309 3.1754
Tl 0.0000 13.2911 9.3510
Nb 0.0000 8.8329 6.2358
Nb 0.0000 6.6230 9.3457
Nb 1.9145 7.7287 12.4744
Nb 0.0000 11.0393 3.1204
Nb -1.9145 7.7287 12.4744
Nb 1.9107 5.5228 6.2368
Nb -1.9107 5.5228 6.2368
Nb 0.0000 4.4170 12.4723
```



# 3
DFT (PBE) results for a relaxed Nb4Tl4O13 crystal.

Values from the calculation:
For the raw total energy, the calculation gives -154.74 eV per cell. The total magnetization is 1.99 μB per cell. Its space group is F-43m, No. 216.

```
21
Lattice="-0.4707 -5.4902 5.2815 -5.4768 0.2715 5.3094 -5.7602 -5.0038 -0.1996" Properties=species:S:1:pos:R:3 pbc="T T T"
O -0.9251 -2.6966 2.6297
O -5.6171 -1.7312 5.2671
O -4.9288 -2.4147 2.5659
O -2.7867 -0.5539 2.6401
O -5.7951 -5.0438 1.8077
O -5.9127 -5.1788 8.5836
O -9.2342 -4.8733 5.1417
O -6.0907 -8.4914 5.1242
O -5.8539 -5.1113 5.1956
O -3.0672 -4.5574 2.5555
O -2.4735 -5.3492 5.2495
O -2.9618 -2.5956 4.6042
O -2.8921 -2.5157 0.5914
Nb -1.6971 -4.0250 3.9415
Nb -1.4614 -1.2760 1.2971
Nb -4.2036 -1.1401 3.9555
Nb -4.3456 -3.7814 1.1971
Tl -7.1019 -3.6201 3.8320
Tl -7.3411 -6.4098 6.5156
Tl -4.4142 -3.8673 6.6171
Tl -4.5582 -6.5478 3.8178
```



# 4
DFT (PBE) results for a relaxed UNb4O12 crystal.

Values from the calculation:
The total magnetization is 1.99 μB per cell. For the distance to the lowest polymorph of the same formula, the calculation gives 0.0 meV/atom. Its space group is I4/mmm, No. 139.

```
17
Lattice="-5.7700 -1.0285 6.6494 -8.6319 2.0119 -0.0869 6.3629 -4.1430 -4.5732" Properties=species:S:1:pos:R:3 pbc="T T T"
O 0.2965 -2.5857 1.0381
O -6.0458 -1.5615 1.8638
O -4.7350 -0.8197 -0.6894
O -6.3615 1.1917 0.7584
O -8.0404 -0.2083 5.8040
O -4.8378 -0.4270 4.3447
O -3.3040 -2.3399 2.6787
O -1.1345 -1.0655 -2.3300
O 1.2094 -1.8167 -1.3338
O -1.9932 -1.5980 0.1255
O -9.2484 -1.3428 3.3231
O -9.5641 1.4104 2.2177
Nb -6.5040 -0.6989 0.1167
Nb -2.9659 -0.9405 -1.4955
Nb -1.5349 -2.4607 1.8726
Nb -5.0731 -2.2191 3.4848
U 0.0000 0.0000 0.0000
```



# 5
DFT (PBE) results for a relaxed U2Nb6O21 crystal.

Values from the calculation:
For the raw total energy, the calculation gives -525.54 eV per cell. The total magnetization is 0.00 μB per cell. Its space group is C2/c, No. 15.

```
58
Lattice="-2.7417 -5.6217 -4.1175 4.1950 -4.7299 4.0131 -11.0981 -6.6819 10.2015" Properties=species:S:1:pos:R:3 pbc="T T T"
O -7.4794 -7.3452 8.8091
O 0.3446 -1.4706 1.4232
O -6.1237 -12.8248 8.2535
O 0.1499 -6.7757 2.6163
O 0.6587 -9.1594 1.2288
O -7.2357 -7.6525 4.2643
O -7.2175 -10.1385 8.0437
O -1.2240 -3.8305 0.2593
O -1.2146 -7.3243 7.2367
O -4.9613 -6.4504 3.0968
O -4.9169 -7.2152 -0.8646
O -4.6836 -10.5831 7.0004
O -1.1846 -9.0772 3.5777
O 2.4116 -5.6878 3.9634
O 1.0087 -3.9649 2.3228
O -10.6536 -13.0686 7.7744
O -10.0099 -10.4975 4.7707
O -2.4091 -9.3811 5.8329
O -3.5212 -4.2088 1.8436
O -2.2834 -6.6645 4.6801
O -8.2747 -12.6163 6.8723
O -2.9145 -12.0258 5.3616
O 0.3651 -6.5360 5.3265
O -10.3036 -7.8741 8.8683
O -8.4602 -7.9563 6.5194
O -9.7948 -10.2578 7.4808
O -8.7024 -9.5589 10.3167
O -9.9894 -15.5629 8.6739
O -12.0564 -11.3457 6.1337
O -7.3615 -10.3690 5.4170
O -8.4302 -9.7093 2.8605
O -3.9836 -4.4340 4.6711
O -2.1655 -9.6883 1.2880
O -4.7279 -9.8184 10.9618
O -4.0537 -10.0140 3.3518
O -6.7303 -5.0078 4.7355
O -1.3702 -4.4172 3.2249
O -5.6613 -12.5995 5.4260
O -0.9425 -7.4746 -0.2196
O -2.4274 -6.8951 2.0534
O -5.5911 -7.0195 6.7453
O -8.4209 -13.2030 9.8379
Nb -1.1651 -7.9984 5.3296
Nb -8.6818 -8.9437 8.5286
Nb -6.9199 -6.1518 3.0420
Nb 2.0975 -2.3649 2.0066
Nb -0.9631 -8.0898 1.5685
Nb -10.1056 -11.7755 6.4552
Nb -3.2706 -5.6205 3.2663
Nb 0.0000 0.0000 0.0000
Nb 0.4608 -5.2581 3.6419
Nb -6.3743 -11.4131 6.8308
Nb -5.5491 -3.3410 5.1008
Nb -8.4798 -9.0351 4.7675
U -7.1718 -6.1649 6.8210
U -7.9966 -14.2063 8.4068
U -1.6483 -2.8272 1.6904
U -2.4730 -10.8687 3.2761
```



# 6
DFT (PBE) results for a relaxed UNb6O16 crystal.

Values from the calculation:
The total magnetization is 2.00 μB per cell. For the distance to the lowest polymorph of the same formula, the calculation gives 175.5 meV/atom. Its space group is P1, No. 1.

```
23
Lattice="-5.8930 0.6708 3.3125 1.0464 -3.4979 5.7379 0.1573 8.6990 2.2523" Properties=species:S:1:pos:R:3 pbc="T T T"
O -4.9352 3.4194 8.5392
O -5.0384 6.5650 9.2911
O -0.8540 0.7879 4.1582
O -1.9964 2.9944 5.6273
O -0.5069 3.7659 8.0817
O -0.0640 4.8775 3.7024
O 0.3061 -0.8202 2.1487
O -2.9293 -0.8749 5.9549
O -1.9795 3.5424 2.8544
O -4.0446 1.6516 3.0574
O -2.6936 1.7518 8.0725
O -2.3121 6.1394 4.9178
O -3.2310 5.1360 7.3202
O 0.0021 -1.7073 5.9213
O -4.5537 7.4718 5.5539
O -4.9521 3.0310 5.9666
Nb 0.0980 -0.9028 4.1931
Nb -1.8843 5.6333 3.2973
Nb -0.6328 2.6992 4.2850
Nb -3.4438 3.2832 6.9560
Nb -2.7240 -0.3566 7.7274
Nb -4.3252 6.7444 7.2829
U 0.1313 8.5871 2.3122
```



# 7
DFT (PBE) results for a relaxed UNb6O16 crystal.

Values from the calculation:
The total magnetization is 4.00 μB per cell. For the distance to the lowest polymorph of the same formula, the calculation gives 207.8 meV/atom. Its space group is P-1, No. 2.

```
23
Lattice="7.9589 1.2938 -0.1411 0.5448 6.4599 -1.2619 1.7400 -0.1717 9.2628" Properties=species:S:1:pos:R:3 pbc="T T T"
Nb 2.7087 2.6589 3.9122
Nb 8.5622 5.2727 0.7177
Nb 1.6815 2.3092 7.1422
Nb 7.5350 4.9230 3.9477
Nb 4.5204 0.8800 6.9109
Nb 5.7233 6.7019 0.9490
O 6.5577 3.4842 3.9537
O 6.0335 1.2905 0.8880
O 8.7330 2.0028 7.2994
O 7.1768 5.9138 2.1247
O 1.5107 5.5791 0.5606
O 4.2102 6.2914 6.9720
O 3.0669 1.6681 5.7352
O 3.6860 4.0977 3.9062
O 9.8130 5.4170 7.8521
O 6.5162 6.3129 4.8231
O 9.0603 4.4845 5.1639
O 1.1834 3.0974 2.6961
O 3.7275 1.2690 3.0368
O 0.4308 2.1649 0.0078
O 5.1689 2.3119 7.6745
O 5.0748 5.2700 0.1854
U 0.0000 0.0000 0.0000
```



# 8
DFT (PBE) results for a relaxed UNb6O16 crystal.

Values from the calculation:
The total magnetization is 2.27 μB per cell. For the distance to the lowest polymorph of the same formula, the calculation gives 0.0 meV/atom. Its space group is C2, No. 5.

```
23
Lattice="-7.6146 -8.3740 -2.2352 -5.1670 -8.9553 -5.1193 3.4272 -5.2726 3.9713" Properties=species:S:1:pos:R:3 pbc="T T T"
O -1.1672 -9.2329 1.0650
O -5.6022 -7.8004 -3.1937
O -6.2835 -9.8562 -0.8855
O -3.7410 -14.8042 -0.2025
O -7.5455 -15.8104 -2.7937
O 0.1804 -5.4964 1.2787
O -0.7043 -2.7895 -0.1885
O -8.5026 -19.8474 -3.3684
O -3.2205 -10.5472 -0.7311
O -5.4426 -12.1824 0.2970
O -9.5519 -17.1014 -4.6416
O -3.2435 -6.3092 -2.5713
O -5.0599 -16.5423 -2.0502
O -2.2168 -6.6946 -0.1088
O -6.0145 -12.0831 -2.7927
O -8.3747 -13.3245 -4.2271
U -7.5980 -8.3779 -2.2547
Nb -7.5979 -11.5627 -4.3501
Nb -0.7520 -7.3474 1.3315
Nb -9.9754 -18.8852 -4.7836
Nb -9.0735 -15.1426 -4.1594
Nb 0.7409 -3.7452 1.2593
Nb -1.5323 -11.0925 0.7028
```



# 9
DFT (PBE) results for a relaxed YNbO2 crystal.

Values from the calculation:
For the raw total energy, the calculation gives -139.18 eV per cell. The total magnetization is 1.32 μB per cell. Its space group is I4_1/amd, No. 141.

```
16
Lattice="6.6986 2.3449 1.5589 1.2984 -2.2478 6.7869 -2.3185 -3.8065 -5.7389" Properties=species:S:1:pos:R:3 pbc="T T T"
Nb 2.0946 -0.3533 -0.0018
Nb 5.4439 0.8192 0.7777
Nb 4.2847 -1.0840 -2.0918
Nb 4.9339 -2.2079 1.3017
O 0.9155 -2.6034 4.3596
O 4.3262 -1.5684 5.0817
O 4.5722 -0.3509 2.4238
O 3.2657 -3.3877 2.1166
O -0.0966 -3.3731 -1.0722
O 1.1614 -1.3858 1.7016
O 0.6140 -4.6345 2.2639
O 2.5551 -2.1263 -1.2195
Y 6.0931 -0.3047 4.1711
Y 1.5846 -3.3804 0.5222
Y 0.9354 -2.2565 -2.8712
Y 2.7438 -1.4771 3.3917
```



# 10
DFT (PBE) results for a relaxed Y3NbO7 crystal.

Values from the calculation:
The total magnetization is 0.00 μB per cell. For the distance to the lowest polymorph of the same formula, the calculation gives 7.4 meV/atom. Its space group is Cmme, No. 67.

```
22
Lattice="3.7456 -7.2734 0.0000 3.7456 7.2734 0.0000 0.0000 0.0000 5.3800" Properties=species:S:1:pos:R:3 pbc="T T T"
O 3.7456 -7.1016 1.1444
O 3.7456 7.1016 4.2356
O 5.3809 1.7510 1.2745
O 5.8559 -1.7510 1.2745
O 5.3809 -1.7510 4.1055
O 5.8559 1.7510 4.1055
O 1.6353 1.7510 4.1055
O 3.7456 0.1718 4.2356
O 1.6353 -1.7510 1.2745
O 3.7456 -0.1718 1.1444
O 3.7456 3.6367 4.0741
O 3.7456 -3.6367 1.3059
O 2.1103 1.7510 1.2745
O 2.1103 -1.7510 4.1055
Y 3.7456 -1.7398 2.5357
Y 1.8728 3.6367 0.0000
Y 1.8728 -3.6367 0.0000
Y 3.7456 -5.5336 2.5357
Y 3.7456 1.7398 2.8443
Y 3.7456 5.5336 2.8443
Nb 1.8728 0.0000 0.0000
Nb 5.6184 0.0000 0.0000
```



# 11
DFT (PBE) results for a relaxed Y3NbO7 crystal.

Values from the calculation:
The total magnetization is 0.00 μB per cell. For the distance to the lowest polymorph of the same formula, the calculation gives 0.0 meV/atom. Its space group is Cm, No. 8.

```
22
Lattice="7.2661 3.8282 0.0000 -7.2661 3.8282 0.0000 0.0000 0.0057 5.3668" Properties=species:S:1:pos:R:3 pbc="T T T"
O 3.4898 5.6854 1.2080
O -3.4980 1.8608 4.2533
O 5.4009 4.0525 1.2724
O 3.4980 1.8608 4.2533
O -3.4898 5.6854 1.2080
O 1.8345 4.0442 4.0466
O -1.8345 4.0442 4.0466
O 0.0000 1.8859 4.0703
O -5.3765 3.5931 4.0826
O 5.3765 3.5931 4.0826
O 1.9267 3.5825 1.2336
O 0.0000 5.7111 1.2918
O -1.9267 3.5825 1.2336
O -5.4009 4.0525 1.2724
Y -1.9007 1.9028 2.8308
Y 0.0000 7.6311 5.3552
Y 0.0000 3.8018 5.3480
Y 1.8732 5.7329 2.5685
Y -1.8732 5.7329 2.5685
Y 1.9007 1.9028 2.8308
Nb -3.6417 4.0753 0.0283
Nb 3.6417 4.0753 0.0283
```



# 12
DFT (PBE) results for a relaxed Nb2Zn3O8 crystal.

Values from the calculation:
For the raw total energy, the calculation gives -179.64 eV per cell. The total magnetization is 0.00 μB per cell. Its space group is C2/c, No. 15.

```
26
Lattice="2.9901 9.6867 0.0000 -2.9901 9.6867 0.0000 0.0000 0.0130 5.2712" Properties=species:S:1:pos:R:3 pbc="T T T"
O 0.7486 8.5668 2.1837
O -0.6149 15.8951 2.9373
O 0.6149 15.8886 0.3017
O 0.7486 10.8131 0.4519
O -2.3017 8.3425 2.2378
O -0.7486 8.5733 4.8193
O -0.8656 5.9581 3.3289
O 2.3017 8.3490 4.8734
O 0.8656 5.9516 0.6933
O -0.7486 10.8196 3.0875
O 0.6149 3.4913 2.3340
O -2.3017 11.0375 0.3978
O -0.6149 3.4979 4.9696
O 0.8656 13.4283 1.9424
O -0.8656 13.4349 4.5780
O 2.3017 11.0440 3.0334
Zn 0.9172 9.6965 3.9534
Zn 0.9235 5.4200 4.0145
Zn -0.9172 9.6900 1.3178
Zn -0.9235 13.9664 1.2567
Zn 0.9235 13.9730 3.8923
Zn -0.9235 5.4135 1.3789
Nb -2.0126 7.4769 4.0224
Nb 2.0126 7.4704 1.3868
Nb 2.0126 11.9095 1.2488
Nb -2.0126 11.9160 3.8844
```



Number 7 is which compound?
UNb6O16



What did the fourth record say?
DFT (PBE) results for a relaxed UNb4O12 crystal.

Values from the calculation:
The total magnetization is 1.99 μB per cell. For the distance to the lowest polymorph of the same formula, the calculation gives 0.0 meV/atom. Its space group is I4/mmm, No. 139.

```
17
Lattice="-5.7700 -1.0285 6.6494 -8.6319 2.0119 -0.0869 6.3629 -4.1430 -4.5732" Properties=species:S:1:pos:R:3 pbc="T T T"
O 0.2965 -2.5857 1.0381
O -6.0458 -1.5615 1.8638
O -4.7350 -0.8197 -0.6894
O -6.3615 1.1917 0.7584
O -8.0404 -0.2083 5.8040
O -4.8378 -0.4270 4.3447
O -3.3040 -2.3399 2.6787
O -1.1345 -1.0655 -2.3300
O 1.2094 -1.8167 -1.3338
O -1.9932 -1.5980 0.1255
O -9.2484 -1.3428 3.3231
O -9.5641 1.4104 2.2177
Nb -6.5040 -0.6989 0.1167
Nb -2.9659 -0.9405 -1.4955
Nb -1.5349 -2.4607 1.8726
Nb -5.0731 -2.2191 3.4848
U 0.0000 0.0000 0.0000
```